No. 1
# PBE-GGA PrErFe14B, optimized geometry
# crystal system = tetragonal
# VASP energy = -0.5872 Ry/atom
data_PrErFe14B
_symmetry_space_group_name_H-M 'P 42/m n m'
_symmetry_Int_Tables_number 136
_symmetry_space_group_name_Hall '-P 4n 2n'
_cell_length_a 8.758
_cell_length_b 8.758
_cell_length_c 12.023
_cell_angle_alpha 90.00
_cell_angle_beta 90.00
_cell_angle_gamma 90.00
loop_
_atom_site_label
_atom_site_type_symbol
_atom_site_fract_x
_atom_site_fract_y
_atom_site_fract_z
Pr1 Pr 0.234 0.234 0.000
Er1 Er 0.145 0.145 0.500
Fe1 Fe 0.000 0.000 0.117
Fe2 Fe 0.000 0.500 0.000
Fe3 Fe 0.035 0.641 0.324
Fe4 Fe 0.069 0.725 0.128
Fe5 Fe 0.096 0.904 0.301
Fe6 Fe 0.182 0.182 0.248
B1 B 0.123 0.877 0.000

=====

No. 2
# PBE-GGA YErFe14B, optimized geometry
# crystal system = tetragonal
# VASP energy = -0.5974 Ry/atom
data_YErFe14B
_symmetry_space_group_name_H-M 'P 42/m n m'
_symmetry_Int_Tables_number 136
_symmetry_space_group_name_Hall '-P 4n 2n'
_cell_length_a 8.724
_cell_length_b 8.724
_cell_length_c 11.907
_cell_angle_alpha 90.00
_cell_angle_beta 90.00
_cell_angle_gamma 90.00
loop_
_atom_site_label
_atom_site_type_symbol
_atom_site_fract_x
_atom_site_fract_y
_atom_site_fract_z
Y1 Y 0.232 0.232 0.000
Er1 Er 0.144 0.144 0.500
Fe1 Fe 0.000 0.000 0.118
Fe2 Fe 0.000 0.500 0.000
Fe3 Fe 0.036 0.641 0.325
Fe4 Fe 0.067 0.725 0.127
Fe5 Fe 0.097 0.903 0.301
Fe6 Fe 0.183 0.183 0.246
B1 B 0.123 0.877 0.000

=====

No. 3
# PBE-GGA ErB2Ir3, optimized geometry
# crystal system = hexagonal
# VASP energy = -0.5956 Ry/atom
data_ErB2Ir3
_symmetry_space_group_name_H-M 'P 6/m m m'
_symmetry_Int_Tables_number 191
_symmetry_space_group_name_Hall '-P 6 2'
_cell_length_a 5.4635
_cell_length_b 5.4635
_cell_length_c 3.1361
_cell_angle_alpha 90.00
_cell_angle_beta 90.00
_cell_angle_gamma 120.00
loop_
_atom_site_label
_atom_site_type_symbol
_atom_site_fract_x
_atom_site_fract_y
_atom_site_fract_z
Er1 Er 0.0000 0.0000 0.0000
B1 B 0.3333 0.6667 0.0000
Ir1 Ir 0.0000 0.5000 0.5000

=====

no.,formation energy from the elements (eV/atom)
1,-0.07
2,-0.11
3,-0.70